(1)
A relaxed structure of Li2AlVO4, computed with PBE with a Hubbard U.

Values from the calculation:
The energy above the most stable polymorph in this dataset is 64 meV per atom. The value obtained for the density is 2.92 g/cm3. The calculation puts the energy of formation from the pure elements at -260.44 kJ/mol of atoms.

Cell lengths 6.362, 5.583, 4.981 Å; angles 90.00, 90.00, 90.00 degrees
Fractional positions:
Li1 0.249 0.166 0.000
Li2 0.251 0.834 0.500
Li3 0.749 0.834 0.500
Li4 0.751 0.166 0.000
Al1 0.000 0.671 0.007
Al2 0.500 0.329 0.507
V1 0.000 0.333 0.500
V2 0.500 0.667 0.000
O1 0.000 0.366 0.893
O2 0.000 0.658 0.367
O3 0.235 0.820 0.904
O4 0.265 0.180 0.404
O5 0.500 0.342 0.867
O6 0.500 0.634 0.393
O7 0.735 0.180 0.404
O8 0.765 0.820 0.904

(2)
A relaxed structure of Li2AlVO4, computed with PBE with a Hubbard U.

Values from the calculation:
The energy above the most stable polymorph in this dataset is 57 meV per atom. The value obtained for the density is 2.89 g/cm3. The calculation puts the energy of formation from the pure elements at -261.11 kJ/mol of atoms.

Cell lengths 4.975, 5.551, 8.165 Å; angles 90.00, 127.49, 90.00 degrees
Fractional positions:
Li1 0.000 0.159 0.000
Li2 0.000 0.841 0.500
Li3 0.748 0.324 0.247
Li4 0.748 0.676 0.747
Al1 0.506 0.168 0.498
Al2 0.506 0.832 0.998
V1 0.254 0.335 0.753
V2 0.254 0.665 0.253
O1 0.177 0.327 0.272
O2 0.177 0.673 0.772
O3 0.396 0.139 0.990
O4 0.396 0.861 0.490
O5 0.620 0.318 0.726
O6 0.620 0.682 0.226
O7 0.874 0.182 0.507
O8 0.874 0.818 0.007

(3)
A relaxed structure of Mg6MnAlO8, computed with PBE with a Hubbard U.

Values from the calculation:
The energy above the most stable polymorph in this dataset is 0 meV per atom. The value obtained for the density is 3.63 g/cm3. The calculation puts the energy of formation from the pure elements at -264.51 kJ/mol of atoms.

Cell lengths 4.324, 4.324, 8.712 Å; angles 90.00, 90.00, 90.00 degrees
Fractional positions:
Mg1 0.000 0.000 0.000
Mg2 0.000 0.000 0.500
Mg3 0.000 0.500 0.248
Mg4 0.000 0.500 0.752
Mg5 0.500 0.000 0.248
Mg6 0.500 0.000 0.752
Mn1 0.500 0.500 0.500
Al1 0.500 0.500 0.000
O1 0.000 0.000 0.248
O2 0.000 0.000 0.752
O3 0.000 0.500 0.000
O4 0.000 0.500 0.500
O5 0.500 0.000 0.000
O6 0.500 0.000 0.500
O7 0.500 0.500 0.216
O8 0.500 0.500 0.784

(4)
A relaxed structure of Mg6MnAlO8, computed with PBE with a Hubbard U.

Values from the calculation:
The energy above the most stable polymorph in this dataset is 13 meV per atom. The value obtained for the density is 3.66 g/cm3. The calculation puts the energy of formation from the pure elements at -263.27 kJ/mol of atoms.

Cell lengths 4.335, 4.335, 8.585 Å; angles 90.00, 90.00, 90.00 degrees
Fractional positions:
Mg1 0.000 0.000 0.000
Mg2 0.000 0.500 0.248
Mg3 0.000 0.500 0.752
Mg4 0.500 0.000 0.248
Mg5 0.500 0.000 0.752
Mg6 0.500 0.500 0.000
Mn1 0.000 0.000 0.500
Al1 0.500 0.500 0.500
O1 0.000 0.000 0.240
O2 0.000 0.000 0.760
O3 0.000 0.500 0.000
O4 0.000 0.500 0.500
O5 0.500 0.000 0.000
O6 0.500 0.000 0.500
O7 0.500 0.500 0.258
O8 0.500 0.500 0.742

(5)
A relaxed structure of MgAlTeW2O8, computed with PBE with a Hubbard U.

Values from the calculation:
The value obtained for the density is 5.78 g/cm3. The calculation puts the energy of formation from the pure elements at -208.27 kJ/mol of atoms.

Cell lengths 4.892, 5.145, 8.276 Å; angles 102.98, 93.51, 105.58 degrees
Fractional positions:
Mg1 0.000 0.000 0.000
Al1 0.753 0.676 0.592
Te1 0.276 0.612 0.087
W1 0.506 0.148 0.715
W2 0.997 0.196 0.457
O1 0.058 0.025 0.252
O2 0.119 0.942 0.601
O3 0.349 0.263 0.919
O4 0.379 0.413 0.567
O5 0.640 0.934 0.487
O6 0.702 0.910 0.799
O7 0.849 0.456 0.399
O8 0.863 0.421 0.698

(6)
A relaxed structure of Mg6AlVO8, computed with PBE with a Hubbard U.

Values from the calculation:
The energy above the most stable polymorph in this dataset is 0 meV per atom. The value obtained for the density is 3.65 g/cm3. The calculation puts the energy of formation from the pure elements at -265.76 kJ/mol of atoms.

Cell lengths 4.241, 4.241, 8.887 Å; angles 90.00, 90.00, 90.00 degrees
Fractional positions:
Mg1 0.000 0.000 0.000
Mg2 0.000 0.000 0.500
Mg3 0.000 0.500 0.249
Mg4 0.000 0.500 0.751
Mg5 0.500 0.000 0.249
Mg6 0.500 0.000 0.751
Al1 0.500 0.500 0.500
V1 0.500 0.500 0.000
O1 0.000 0.000 0.253
O2 0.000 0.000 0.747
O3 0.000 0.500 0.000
O4 0.000 0.500 0.500
O5 0.500 0.000 0.000
O6 0.500 0.000 0.500
O7 0.500 0.500 0.296
O8 0.500 0.500 0.704

| no. | calculated total energy (eV per atom) |
| --- | --- |
| 1 | -6.70 |
| 2 | -6.71 |
| 3 | -6.17 |
| 4 | -6.16 |
| 5 | -6.74 |
| 6 | -6.18 |